1.
VASP calculation (GGA+U) on a geometry-optimized Na2CrF4 structure.

Properties
The total energy is -5.210 eV/atom. The space-group type is P2_1/c, No. 14.

abc: 9.7023 3.3990 5.7455
angles: 87.96 90.00 90.00
Element x y z (fractional)
Na 0.8189 0.5160 0.5776
Na 0.3189 0.4840 0.9224
Na 0.6811 0.5160 0.0776
Na 0.1811 0.4840 0.4224
Cr 0.0000 0.0000 0.0000
Cr 0.5000 0.0000 0.5000
F 0.6941 0.0096 0.3696
F 0.1941 0.9904 0.1304
F 0.3059 0.9904 0.6304
F 0.8059 0.0096 0.8696
F 0.9527 0.5667 0.2414
F 0.4527 0.4333 0.2586
F 0.5473 0.5667 0.7414
F 0.0473 0.4333 0.7586

=====

2.
VASP calculation (GGA+U) on a geometry-optimized La9Mn10O30 structure.

Properties
For the distance to the lowest polymorph of the same formula, the calculation gives 0.018 eV/atom. As for the spin magnetization: 37.1 μB per cell. The space-group type is C2, No. 5.

abc: 5.5099 5.5099 22.9951
angles: 83.05 83.05 60.86
Element x y z (fractional)
La 0.4479 0.7465 0.2044
La 0.5519 0.8507 0.8980
La 0.6559 0.9578 0.5891
La 0.2535 0.5521 0.7956
La 0.0422 0.3441 0.4109
La 0.1493 0.4481 0.1020
La 0.7531 0.0414 0.3067
La 0.8498 0.1502 0.0000
La 0.9586 0.2469 0.6933
Mn 0.3959 0.7015 0.3540
Mn 0.5003 0.7997 0.0503
Mn 0.6036 0.8970 0.7483
Mn 0.2985 0.6041 0.6460
Mn 0.1030 0.3964 0.2517
Mn 0.2003 0.4997 0.9497
Mn 0.7988 0.1006 0.1509
Mn 0.8994 0.2012 0.8491
Mn 0.0041 0.2990 0.5478
Mn 0.7010 0.9959 0.4522
O 0.0241 0.8888 0.9134
O 0.3877 0.7987 0.7028
O 0.6194 0.8029 0.3937
O 0.8092 0.9829 0.8014
O 0.1540 0.9410 0.5963
O 0.0590 0.8460 0.4037
O 0.1112 0.9759 0.0866
O 0.7166 0.5720 0.2874
O 0.8888 0.6240 0.0135
O 0.9175 0.7694 0.6877
O 0.2013 0.6123 0.2972
O 0.6244 0.4881 0.1135
O 0.9835 0.4132 0.9010
O 0.4280 0.2834 0.7126
O 0.8284 0.6814 0.5092
O 0.5705 0.3166 0.3883
O 0.9751 0.7135 0.1871
O 0.4156 0.5844 0.0000
O 0.7747 0.5151 0.7874
O 0.1971 0.3806 0.6063
O 0.4849 0.2253 0.2126
O 0.5119 0.3756 0.8865
O 0.2865 0.0249 0.8129
O 0.6834 0.4295 0.6117
O 0.3186 0.1716 0.4908
O 0.2306 0.0825 0.3123
O 0.5868 0.0165 0.0990
O 0.8017 0.1983 0.5000
O 0.0171 0.1908 0.1986
O 0.3760 0.1112 0.9865

=====

3.
VASP calculation (GGA+U) on a geometry-optimized Li3V5O12 structure.

Properties
For the distance to the lowest polymorph of the same formula, the calculation gives 0.015 eV/atom. As for the spin magnetization: 4.0 μB per cell. The space-group type is P1, No. 1.

abc: 5.6445 6.9121 6.9181
angles: 103.89 72.62 107.36
Element x y z (fractional)
Li 0.7501 0.0909 0.0911
Li 0.2497 0.2852 0.2856
Li 0.7496 0.7252 0.7252
V 0.7343 0.1808 0.6252
V 0.7656 0.6252 0.1811
V 0.2499 0.9272 0.9269
V 0.2031 0.3858 0.8415
V 0.2961 0.8412 0.3856
O 0.6398 0.0171 0.8045
O 0.8603 0.8040 0.0167
O 0.6690 0.0291 0.3993
O 0.8313 0.3993 0.0289
O 0.1706 0.2031 0.0016
O 0.3301 0.0014 0.2032
O 0.5635 0.3691 0.6913
O 0.9362 0.6908 0.3694
O 0.0697 0.2921 0.5938
O 0.4304 0.5935 0.2919
O 0.3152 0.6529 0.8847
O 0.1855 0.8860 0.6526

=====

4.
VASP calculation (GGA+U) on a geometry-optimized TiMnO4 structure.

Properties
As for the spin magnetization: 0.0 μB per cell. The total energy is -8.006 eV/atom. Its maximum piezoelectric response is 1.13 C/m2.

abc: 3.7824 3.7824 9.5413
angles: 90.00 90.00 90.00
Element x y z (fractional)
Ti 0.5000 0.0000 0.7500
Ti 0.0000 0.5000 0.2500
Mn 0.5000 0.5000 0.5000
Mn 0.0000 0.0000 0.0000
O 0.5000 0.0000 0.9593
O 0.0000 0.5000 0.4593
O 0.5000 0.0000 0.5407
O 0.0000 0.5000 0.0407
O 0.0000 0.0000 0.7990
O 0.5000 0.5000 0.2990
O 0.0000 0.0000 0.2010
O 0.5000 0.5000 0.7010

=====

5.
VASP calculation (GGA+U) on a geometry-optimized Li9Co7O16 structure.

Properties
For the distance to the lowest polymorph of the same formula, the calculation gives 0.090 eV/atom. As for the spin magnetization: 6.0 μB per cell. The space-group type is P-1, No. 2.

abc: 3.0094 6.3733 15.4578
angles: 89.64 88.78 76.70
Element x y z (fractional)
Li 0.5625 0.8770 0.6872
Li 0.8129 0.3747 0.4375
Li 0.0587 0.8801 0.1865
Li 0.1871 0.6253 0.5625
Li 0.4375 0.1230 0.3128
Li 0.6813 0.6309 0.0614
Li 0.3187 0.3691 0.9386
Li 0.9413 0.1199 0.8135
Li 0.0000 0.0000 0.0000
Co 0.6190 0.7575 0.8805
Co 0.3810 0.2425 0.1195
Co 0.8728 0.2535 0.6252
Co 0.1272 0.7465 0.3748
Co 0.5000 0.0000 0.5000
Co 0.7524 0.4980 0.2484
Co 0.2476 0.5020 0.7516
O 0.0660 0.7956 0.7849
O 0.3533 0.2997 0.5336
O 0.6093 0.7960 0.2830
O 0.7220 0.5508 0.6589
O 0.9811 0.0466 0.4085
O 0.2360 0.5410 0.1574
O 0.8188 0.3083 0.0401
O 0.4811 0.0330 0.9015
O 0.0189 0.9534 0.5915
O 0.2780 0.4492 0.3411
O 0.5189 0.9670 0.0985
O 0.6467 0.7003 0.4664
O 0.9340 0.2044 0.2151
O 0.1812 0.6917 0.9599
O 0.7640 0.4590 0.8426
O 0.3907 0.2040 0.7170

=====

6.
VASP calculation (GGA+U) on a geometry-optimized MgZn2Co4O8 structure.

Properties
For the distance to the lowest polymorph of the same formula, the calculation gives 0.000 eV/atom. As for the spin magnetization: 14.0 μB per cell. The space-group type is P-1, No. 2.

abc: 5.9366 5.8881 6.2674
angles: 89.16 118.33 120.34
Element x y z (fractional)
Mg 0.0000 0.0000 0.5000
Zn 0.3097 0.1610 0.9585
Zn 0.6903 0.8390 0.0415
Co 0.5000 0.0000 0.5000
Co 0.5000 0.5000 0.5000
Co 0.0000 0.5000 0.0000
Co 0.0000 0.5000 0.5000
O 0.0059 0.7481 0.2683
O 0.4548 0.7152 0.6882
O 0.5066 0.7501 0.2642
O 0.9897 0.7439 0.7367
O 0.4934 0.2499 0.7358
O 0.5452 0.2848 0.3118
O 0.0103 0.2561 0.2633
O 0.9941 0.2519 0.7317

=====

7.
VASP calculation (GGA+U) on a geometry-optimized Eu2MgFe2O5 structure.

Properties
For the distance to the lowest polymorph of the same formula, the calculation gives 0.000 eV/atom. As for the spin magnetization: 21.9 μB per cell. The space-group type is P1, No. 1.

abc: 7.0828 4.0692 5.8193
angles: 70.66 90.14 89.99
Element x y z (fractional)
Eu 0.0005 0.9047 0.8509
Eu 0.5002 0.2274 0.1736
Mg 0.9997 0.2048 0.2645
Fe 0.2813 0.5269 0.5983
Fe 0.7186 0.5267 0.5987
O 0.1968 0.3559 0.9548
O 0.8034 0.3557 0.9553
O 0.4996 0.6308 0.3755
O 0.2106 0.0668 0.5143
O 0.7893 0.0669 0.5141

=====

8.
VASP calculation (GGA+U) on a geometry-optimized Ba3V2O7F5 structure.

Properties
As for the spin magnetization: 0.0 μB per cell. The total energy is -6.373 eV/atom. The space-group type is Pnnm, No. 58.

abc: 9.3909 10.0351 10.8289
angles: 90.00 90.00 90.00
Element x y z (fractional)
Ba 0.0000 0.3425 0.3527
Ba 0.0000 0.6575 0.6473
Ba 0.5000 0.1575 0.8527
Ba 0.5000 0.8425 0.1473
Ba 0.0000 0.2169 0.7707
Ba 0.0000 0.7831 0.2293
Ba 0.5000 0.2831 0.2707
Ba 0.5000 0.7169 0.7293
Ba 0.2552 0.0000 0.5000
Ba 0.7448 0.0000 0.5000
Ba 0.2448 0.5000 0.0000
Ba 0.7552 0.5000 0.0000
V 0.1859 0.1547 0.1067
V 0.8141 0.8453 0.8933
V 0.1859 0.8453 0.8933
V 0.3141 0.3453 0.6067
V 0.8141 0.1547 0.1067
V 0.6859 0.6547 0.3933
V 0.3141 0.6547 0.3933
V 0.6859 0.3453 0.6067
O 0.2246 0.3005 0.1822
O 0.7754 0.6995 0.8178
O 0.2246 0.6995 0.8178
O 0.2754 0.1995 0.6822
O 0.7754 0.3005 0.1822
O 0.7246 0.8005 0.3178
O 0.2754 0.8005 0.3178
O 0.7246 0.1995 0.6822
O 0.3365 0.0677 0.1229
O 0.6635 0.9323 0.8771
O 0.3365 0.9323 0.8771
O 0.1635 0.4323 0.6229
O 0.6635 0.0677 0.1229
O 0.8365 0.5677 0.3771
O 0.1635 0.5677 0.3771
O 0.8365 0.4323 0.6229
O 0.0776 0.0744 0.2436
O 0.9224 0.9256 0.7564
O 0.0776 0.9256 0.7564
O 0.4224 0.4256 0.7436
O 0.9224 0.0744 0.2436
O 0.5776 0.5744 0.2564
O 0.4224 0.5744 0.2564
O 0.5776 0.4256 0.7436
O 0.0780 0.0000 0.0000
O 0.9220 0.0000 0.0000
O 0.4220 0.5000 0.5000
O 0.5780 0.5000 0.5000
F 0.0000 0.2423 0.0574
F 0.0000 0.7577 0.9426
F 0.5000 0.2577 0.5574
F 0.5000 0.7423 0.4426
F 0.0000 0.5412 0.1364
F 0.0000 0.4588 0.8636
F 0.5000 0.9588 0.6364
F 0.5000 0.0412 0.3636
F 0.0000 0.1471 0.5293
F 0.0000 0.8529 0.4707
F 0.5000 0.3529 0.0293
F 0.5000 0.6471 0.9707
F 0.2678 0.2716 0.4435
F 0.7322 0.7284 0.5565
F 0.2678 0.7284 0.5565
F 0.2322 0.2284 0.9435
F 0.7322 0.2716 0.4435
F 0.7678 0.7716 0.0565
F 0.2322 0.7716 0.0565
F 0.7678 0.2284 0.9435

=====

9.
VASP calculation (GGA+U) on a geometry-optimized Li9Co7O16 structure.

Properties
For the distance to the lowest polymorph of the same formula, the calculation gives 0.070 eV/atom. As for the spin magnetization: 6.0 μB per cell. The space-group type is P2/m, No. 10.

abc: 2.9274 9.7466 10.1618
angles: 77.66 90.00 90.00
Element x y z (fractional)
Li 0.5000 0.2467 0.1209
Li 0.5000 0.2513 0.6268
Li 0.0000 0.0015 0.2429
Li 0.0000 0.9985 0.7571
Li 0.5000 0.7487 0.3732
Li 0.5000 0.7533 0.8791
Li 0.0000 0.5000 0.0000
Li 0.0000 0.5000 0.5000
Li 0.5000 0.0000 0.0000
Co 0.0000 0.2444 0.8799
Co 0.0000 0.7556 0.1201
Co 0.0000 0.2492 0.3738
Co 0.5000 0.0000 0.5000
Co 0.0000 0.7508 0.6262
Co 0.5000 0.5021 0.2535
Co 0.5000 0.4979 0.7465
O 0.5000 0.3633 0.9245
O 0.5000 0.3771 0.4290
O 0.0000 0.1377 0.0473
O 0.0000 0.1247 0.5519
O 0.5000 0.8560 0.1780
O 0.5000 0.8788 0.6753
O 0.0000 0.6217 0.8046
O 0.0000 0.6273 0.2998
O 0.5000 0.1212 0.3247
O 0.5000 0.1440 0.8220
O 0.0000 0.8753 0.4481
O 0.0000 0.8623 0.9527
O 0.5000 0.6229 0.5710
O 0.5000 0.6367 0.0755
O 0.0000 0.3783 0.1954
O 0.0000 0.3727 0.7002

=====

10.
VASP calculation (GGA+U) on a geometry-optimized Li9Mn2Co5O16 structure.

Properties
For the distance to the lowest polymorph of the same formula, the calculation gives 0.077 eV/atom. As for the spin magnetization: 18.0 μB per cell. The space-group type is P1, No. 1.

abc: 3.0177 8.0608 11.9979
angles: 90.80 94.54 90.85
Element x y z (fractional)
Li 0.9993 0.0021 0.2493
Li 0.4995 0.7457 0.6287
Li 0.0043 0.5023 0.9987
Li 0.4997 0.2500 0.3764
Li 0.0009 0.9998 0.7498
Li 0.5022 0.7478 0.1246
Li 0.9951 0.4960 0.5018
Li 0.4984 0.2570 0.8701
Li 0.9996 0.4997 0.7496
Mn 0.0008 0.9982 0.9990
Mn 0.5084 0.7513 0.3771
Co 0.4916 0.2506 0.1241
Co 0.0000 0.0036 0.5020
Co 0.5053 0.7390 0.8685
Co 0.9992 0.4977 0.2488
Co 0.4976 0.2595 0.6302
O 0.4751 0.0120 0.1212
O 0.9784 0.7632 0.4998
O 0.4954 0.5234 0.8766
O 0.9647 0.2584 0.2431
O 0.4762 0.0207 0.6176
O 0.9754 0.7578 0.9936
O 0.5163 0.5088 0.3689
O 0.9744 0.2491 0.7409
O 0.5273 0.9935 0.3829
O 0.0235 0.7497 0.7587
O 0.4826 0.4870 0.1314
O 0.0240 0.2385 0.5080
O 0.5215 0.9802 0.8787
O 0.0364 0.7405 0.2532
O 0.5037 0.4752 0.6225
O 0.0232 0.2416 0.0044

=====

11.
VASP calculation (GGA+U) on a geometry-optimized Li5Fe2P2C2O14 structure.

Properties
For the distance to the lowest polymorph of the same formula, the calculation gives 0.010 eV/atom. As for the spin magnetization: 18.0 μB per cell. The space-group type is Pc, No. 7.

abc: 6.4682 9.3837 10.1614
angles: 63.44 90.00 90.00
Element x y z (fractional)
Li 0.4943 0.1038 0.5564
Li 0.5057 0.1038 0.0564
Li 0.3173 0.2900 0.7388
Li 0.6827 0.2900 0.2388
Li 0.7431 0.7393 0.7622
Li 0.2579 0.7394 0.7601
Li 0.7421 0.7394 0.2601
Li 0.2569 0.7393 0.2622
Li 0.9910 0.8999 0.9319
Li 0.0090 0.8999 0.4319
Fe 0.0003 0.3264 0.9386
Fe 0.9997 0.3264 0.4386
Fe 0.4986 0.6675 0.5602
Fe 0.5014 0.6675 0.0602
P 0.5060 0.4132 0.9344
P 0.4940 0.4132 0.4344
P 0.0051 0.5805 0.5796
P 0.9949 0.5805 0.0796
C 0.0014 0.0369 0.6301
C 0.9986 0.0369 0.1301
C 0.4835 0.9633 0.8581
C 0.5165 0.9633 0.3581
O 0.0070 0.0692 0.9912
O 0.9930 0.0692 0.4912
O 0.4555 0.1008 0.7530
O 0.0061 0.1593 0.6576
O 0.5445 0.1008 0.2530
O 0.9939 0.1593 0.1576
O 0.3187 0.3039 0.9399
O 0.6945 0.3107 0.9321
O 0.3055 0.3107 0.4321
O 0.6813 0.3039 0.4399
O 0.0359 0.4234 0.7206
O 0.4827 0.4402 0.5730
O 0.9641 0.4234 0.2206
O 0.5173 0.4402 0.0730
O 0.0010 0.5406 0.9450
O 0.4932 0.5757 0.7966
O 0.9990 0.5406 0.4450
O 0.5068 0.5757 0.2966
O 0.8125 0.6787 0.5789
O 0.1831 0.7007 0.5591
O 0.1875 0.6787 0.0789
O 0.8169 0.7007 0.0591
O 0.5016 0.8389 0.8296
O 0.0039 0.8926 0.7350
O 0.4984 0.8389 0.3296
O 0.9961 0.8926 0.2350
O 0.5070 0.9341 0.4963
O 0.4930 0.9341 0.9963